1.
# Li9V21O40

A geometry-optimized Li9V21O40 structure (PBE with a Hubbard U, the Materials Project).

Calculated values
For the formation energy, the calculation gives -2.51 eV/atom. The total moment comes out at 0.4857 μB per atom.

abc: 10.448 10.448 10.448
angles: 99.08 99.08 133.20
Sites, in units of the cell vectors:
1 O 0.582 0.726 0.568
2 O 0.865 0.620 0.727
3 O 0.473 0.425 0.134
4 O 0.980 0.929 0.164
5 O 0.157 0.499 0.453
6 O 0.296 0.843 0.342
7 O 0.946 0.404 0.634
8 O 0.468 0.934 0.155
9 O 0.800 0.840 0.349
10 O 0.596 0.230 0.542
11 O 0.882 0.647 0.254
12 O 0.958 0.892 0.643
13 O 0.158 0.014 0.432
14 O 0.550 0.200 0.040
15 O 0.862 0.135 0.755
16 O 0.353 0.607 0.236
17 O 0.184 0.020 0.950
18 O 0.066 0.222 0.534
19 O 0.766 0.816 0.836
20 O 0.290 0.338 0.866
21 O 0.685 0.042 0.934
22 O 0.688 0.532 0.466
23 O 0.688 0.054 0.458
24 O 0.770 0.312 0.366
25 O 0.893 0.138 0.273
26 O 0.372 0.118 0.764
27 O 0.662 0.527 0.952
28 O 0.249 0.315 0.357
29 O 0.575 0.710 0.048
30 O 0.046 0.704 0.547
31 O 0.274 0.842 0.856
32 O 0.393 0.628 0.746
33 O 0.380 0.107 0.245
34 O 0.778 0.312 0.845
35 O 0.501 0.954 0.658
36 O 0.071 0.234 0.050
37 O 0.160 0.510 0.960
38 O 0.986 0.418 0.144
39 O 0.108 0.751 0.066
40 O 0.490 0.450 0.651
41 Li 0.802 0.401 0.202
42 Li 0.250 0.750 0.500
43 Li 0.599 0.800 0.400
44 Li 0.400 0.198 0.600
45 Li 0.851 0.552 0.900
46 Li 0.049 0.149 0.701
47 Li 0.448 0.348 0.299
48 Li 0.652 0.951 0.100
49 Li 0.200 0.600 0.798
50 V 0.521 0.571 0.851
51 V 0.329 0.479 0.049
52 V 0.929 0.275 0.453
53 V 0.024 0.073 0.356
54 V 0.122 0.870 0.747
55 V 0.625 0.878 0.748
56 V 0.725 0.178 0.654
57 V 0.717 0.668 0.644
58 V 0.922 0.771 0.446
59 V 0.524 0.071 0.346
60 V 0.927 0.283 0.951
61 V 0.229 0.675 0.151
62 V 0.130 0.877 0.252
63 V 0.000 0.000 0.000
64 V 0.720 0.671 0.149
65 V 0.123 0.375 0.253
66 V 0.332 0.976 0.049
67 V 0.822 0.476 0.547
68 V 0.325 0.476 0.554
69 V 0.429 0.280 0.951
70 V 0.524 0.078 0.849

=====

2.
# Li7Mn7P6O24F3

A geometry-optimized Li7Mn7P6O24F3 structure (PBE with a Hubbard U, the Materials Project).

Calculated values
The value obtained for the relative energy among the computed polymorphs is 0.000 eV/atom. For the formation energy, the calculation gives -2.65 eV/atom. The total moment comes out at 0.7447 μB per atom.

abc: 13.737 13.737 6.523
angles: 90.00 90.00 120.00
Sites, in units of the cell vectors:
1 O 0.692 0.007 0.239
2 O 0.315 0.308 0.239
3 O 0.130 0.576 0.937
4 O 0.446 0.870 0.937
5 O 0.554 0.130 0.437
6 O 0.545 0.117 0.040
7 O 0.576 0.446 0.437
8 O 0.279 0.134 0.545
9 O 0.145 0.279 0.045
10 O 0.542 0.785 0.738
11 O 0.308 0.993 0.739
12 O 0.635 0.631 0.248
13 O 0.874 0.887 0.743
14 O 0.631 0.997 0.748
15 O 0.855 0.721 0.545
16 O 0.126 0.113 0.243
17 O 0.993 0.685 0.239
18 O 0.428 0.545 0.540
19 O 0.134 0.855 0.045
20 O 0.719 0.865 0.437
21 O 0.883 0.428 0.040
22 O 0.003 0.635 0.748
23 O 0.146 0.281 0.437
24 O 0.887 0.013 0.243
25 O 0.785 0.244 0.238
26 O 0.365 0.369 0.748
27 O 0.244 0.458 0.738
28 O 0.117 0.572 0.540
29 O 0.756 0.542 0.238
30 O 0.854 0.719 0.937
31 O 0.215 0.756 0.738
32 O 0.424 0.554 0.937
33 O 0.870 0.424 0.437
34 O 0.685 0.692 0.739
35 O 0.997 0.365 0.248
36 O 0.865 0.146 0.937
37 O 0.013 0.126 0.743
38 O 0.135 0.854 0.437
39 O 0.369 0.003 0.248
40 O 0.007 0.315 0.739
41 O 0.458 0.215 0.238
42 O 0.113 0.987 0.743
43 O 0.572 0.455 0.040
44 O 0.721 0.866 0.045
45 O 0.866 0.145 0.545
46 O 0.281 0.135 0.937
47 O 0.455 0.883 0.540
48 O 0.987 0.874 0.243
49 Mn 0.702 0.119 0.488
50 Mn 0.000 0.000 0.993
51 Mn 0.703 0.126 0.990
52 Mn 0.297 0.874 0.490
53 Mn 0.584 0.702 0.988
54 Mn 0.423 0.297 0.990
55 Mn 0.298 0.881 0.988
56 Mn 0.874 0.577 0.990
57 Mn 0.881 0.584 0.488
58 Mn 0.000 0.000 0.493
59 Mn 0.119 0.416 0.988
60 Mn 0.126 0.423 0.490
61 Mn 0.416 0.298 0.488
62 Mn 0.577 0.703 0.490
63 Li 0.126 0.626 0.243
64 Li 0.333 0.667 0.071
65 Li 0.742 0.923 0.744
66 Li 0.182 0.258 0.744
67 Li 0.626 0.499 0.743
68 Li 0.501 0.126 0.743
69 Li 0.667 0.333 0.571
70 Li 0.258 0.077 0.244
71 Li 0.077 0.818 0.744
72 Li 0.923 0.182 0.244
73 Li 0.374 0.501 0.243
74 Li 0.818 0.742 0.244
75 Li 0.499 0.874 0.243
76 Li 0.874 0.374 0.743
77 P 0.062 0.817 0.241
78 P 0.515 0.882 0.740
79 P 0.882 0.367 0.240
80 P 0.367 0.485 0.740
81 P 0.938 0.183 0.741
82 P 0.118 0.633 0.740
83 P 0.755 0.938 0.241
84 P 0.633 0.515 0.240
85 P 0.485 0.118 0.240
86 P 0.817 0.755 0.741
87 P 0.183 0.245 0.241
88 P 0.245 0.062 0.741
89 F 0.482 0.726 0.225
90 F 0.244 0.518 0.225
91 F 0.518 0.274 0.725
92 F 0.274 0.756 0.225
93 F 0.726 0.244 0.725
94 F 0.756 0.482 0.725

=====

3.
# Li9Mn2Co5O16

A geometry-optimized Li9Mn2Co5O16 structure (PBE with a Hubbard U, the Materials Project).

Calculated values
The value obtained for the relative energy among the computed polymorphs is 0.049 eV/atom. For the formation energy, the calculation gives -1.82 eV/atom. The total moment comes out at 0.4375 μB per atom.

abc: 5.184 6.453 8.606
angles: 97.05 94.24 95.59
Sites, in units of the cell vectors:
1 Li 0.002 0.752 0.249
2 Li 0.242 0.184 0.312
3 Li 0.250 0.933 0.559
4 Li 0.758 0.050 0.427
5 Li 0.761 0.563 0.945
6 Li 0.749 0.814 0.683
7 Li 0.238 0.685 0.812
8 Li 0.758 0.322 0.192
9 Li 0.243 0.453 0.067
10 O 0.880 0.036 0.205
11 O 0.356 0.128 0.078
12 O 0.892 0.516 0.709
13 O 0.643 0.870 0.923
14 O 0.388 0.393 0.839
15 O 0.847 0.748 0.459
16 O 0.111 0.984 0.787
17 O 0.106 0.227 0.538
18 O 0.399 0.887 0.338
19 O 0.601 0.605 0.166
20 O 0.388 0.648 0.588
21 O 0.609 0.356 0.409
22 O 0.613 0.105 0.667
23 O 0.888 0.271 0.961
24 O 0.156 0.489 0.304
25 O 0.117 0.737 0.027
26 Mn 0.000 0.998 0.003
27 Mn 0.500 0.375 0.624
28 Co 0.498 0.624 0.376
29 Co 0.499 0.127 0.875
30 Co 0.000 0.500 0.498
31 Co 0.000 0.250 0.749
32 Co 0.507 0.871 0.130